Record 1
## YB4Rh7 (PBE)

Data for YB4Rh7 after structural relaxation.

The electronic total energy is -7.3991 eV/atom. The calculation puts the density at 9.13 Mg/m³. The calculation puts the formation energy at -32.6 kJ per mole of atoms.

The space group is Pmm2 (No. 25) and the conventional cell measures 2.9141, 9.6059 and 5.5377 Å, with angles of 90.00, 90.00 and 90.00 degrees. Symmetry generates all atoms from Y at (0.0000, 0.0000, 0.0000), B at (0.0000, 0.1672, 0.4997), B at (0.0000, 0.3338, 0.0003), Rh at (0.0000, 0.5000, 0.4997), Rh at (0.5000, 0.0000, 0.4968), Rh at (0.5000, 0.2495, 0.7506), Rh at (0.5000, 0.2539, 0.2540) and Rh at (0.5000, 0.5000, 0.9944).

Record 2
## SrNb4O6 (PBE)

Data for SrNb4O6 after structural relaxation.

The electronic total energy is -8.8573 eV/atom. The calculation puts the density at 6.32 Mg/m³. The calculation puts the formation energy at -261.1 kJ per mole of atoms.

The space group is P4/mmm (No. 123) and the conventional cell measures 4.2159, 4.2159 and 16.4125 Å, with angles of 90.00, 90.00 and 90.00 degrees. Symmetry generates all atoms from Sr at (0.0000, 0.0000, 0.1245), Nb at (0.0000, 0.5000, 0.3685), Nb at (0.5000, 0.5000, 0.0000), Nb at (0.5000, 0.5000, 0.2477), Nb at (0.5000, 0.5000, 0.5000), O at (0.0000, 0.0000, 0.3701), O at (0.0000, 0.5000, 0.0000), O at (0.0000, 0.5000, 0.2380), O at (0.0000, 0.5000, 0.5000) and O at (0.5000, 0.5000, 0.1197).

Record 3
## YAl3 (PBE)

Data for YAl3 after structural relaxation.

The electronic total energy is -4.8637 eV/atom. The calculation puts the density at 3.57 Mg/m³. The calculation puts the formation energy at -42.2 kJ per mole of atoms.

The space group is P6_3/mmc (No. 194) and the conventional cell measures 6.2741, 6.2741 and 4.6319 Å, with angles of 90.00, 90.00 and 120.00 degrees. Symmetry generates all atoms from Y at (0.3333, 0.6667, 0.2500) and Al at (0.1464, 0.2928, 0.7500).

Record 4
## InCuO2 (PBE)

Data for InCuO2 after structural relaxation.

The electronic total energy is -5.3277 eV/atom. The calculation puts the density at 6.14 Mg/m³. The calculation puts the formation energy at -143.2 kJ per mole of atoms.

The space group is P6_3/mmc (No. 194) and the conventional cell measures 3.3598, 3.3598 and 11.6435 Å, with angles of 90.00, 90.00 and 120.00 degrees. Symmetry generates all atoms from In at (0.0000, 0.0000, 0.0000), Cu at (0.3333, 0.6667, 0.2500) and O at (0.3333, 0.6667, 0.0913).

Record 5
## Cu3AsSe4 (PBE)

Data for Cu3AsSe4 after structural relaxation.

The electronic total energy is -4.0153 eV/atom. The calculation puts the density at 5.49 Mg/m³. The calculation puts the formation energy at -37.0 kJ per mole of atoms.

The space group is I-42m (No. 121) and the conventional cell measures 5.6212, 5.6212 and 11.1400 Å, with angles of 90.00, 90.00 and 90.00 degrees. Symmetry generates all atoms from Cu at (0.0000, 0.0000, 0.0000), Cu at (0.0000, 0.5000, 0.2500), As at (0.0000, 0.0000, 0.5000) and Se at (0.2455, 0.2455, 0.1310).

Record 6
## BaThBr6 (PBE)

Data for BaThBr6 after structural relaxation.

The electronic total energy is -4.2571 eV/atom. The calculation puts the density at 4.95 Mg/m³. The calculation puts the formation energy at -218.4 kJ per mole of atoms.

The space group is Pmma (No. 51) and the conventional cell measures 9.6695, 4.3876 and 13.4209 Å, with angles of 90.00, 90.00 and 90.00 degrees. Symmetry generates all atoms from Ba at (0.2500, 0.0000, 0.2358), Th at (0.2500, 0.5000, 0.7487), Br at (0.0324, 0.5000, 0.3462), Br at (0.0817, 0.0000, 0.8502), Br at (0.2500, 0.0000, 0.5995) and Br at (0.2500, 0.5000, 0.0684).